[1]
This record from the Materials Project describes crystalline NaCu3O4 at its relaxed geometry. The functional is GGA-PBE.

CIF file:
```
data_NaCu3O4
_chemical_formula_sum 'Na1 Cu3 O4'
_cell_length_a 6.081
_cell_length_b 6.081
_cell_length_c 3.450
_cell_angle_alpha 90.00
_cell_angle_beta 90.00
_cell_angle_gamma 126.71
_space_group_name_H-M_alt 'P 1'
_space_group_IT_number 1
_space_group_name_Hall 'P 1'
loop_
_atom_site_label
_atom_site_type_symbol
_atom_site_fract_x
_atom_site_fract_y
_atom_site_fract_z
Na1 Na 0.000 0.000 0.000
Cu1 Cu 0.243 0.757 0.500
Cu2 Cu 0.500 0.500 0.500
Cu3 Cu 0.757 0.243 0.500
O1 O 0.131 0.391 0.500
O2 O 0.391 0.131 0.500
O3 O 0.609 0.869 0.500
O4 O 0.869 0.609 0.500
```

Calculated values
symmetry: No. 65
raw total energy: -4.92 eV/atom



[2]
This record from the Materials Project describes crystalline NaCuO2 at its relaxed geometry. The functional is GGA-PBE.

CIF file:
```
data_NaCuO2
_chemical_formula_sum 'Na1 Cu1 O2'
_cell_length_a 5.555
_cell_length_b 5.555
_cell_length_c 5.555
_cell_angle_alpha 31.76
_cell_angle_beta 31.76
_cell_angle_gamma 31.76
_space_group_name_H-M_alt 'P 1'
_space_group_IT_number 1
_space_group_name_Hall 'P 1'
loop_
_atom_site_label
_atom_site_type_symbol
_atom_site_fract_x
_atom_site_fract_y
_atom_site_fract_z
Na1 Na 0.000 0.000 0.000
Cu1 Cu 0.500 0.500 0.500
O1 O 0.233 0.233 0.233
O2 O 0.767 0.767 0.767
```

Calculated values
symmetry: No. 166
raw total energy: -4.72 eV/atom



[3]
This record from the Materials Project describes crystalline Na5Cu7O13 at its relaxed geometry. The functional is GGA-PBE.

CIF file:
```
data_Na5Cu7O13
_chemical_formula_sum 'Na5 Cu7 O13'
_cell_length_a 6.813
_cell_length_b 6.868
_cell_length_c 7.609
_cell_angle_alpha 98.49
_cell_angle_beta 99.75
_cell_angle_gamma 103.82
_space_group_name_H-M_alt 'P 1'
_space_group_IT_number 1
_space_group_name_Hall 'P 1'
loop_
_atom_site_label
_atom_site_type_symbol
_atom_site_fract_x
_atom_site_fract_y
_atom_site_fract_z
Na1 Na 0.000 0.000 0.000
Na2 Na 0.149 0.156 0.687
Na3 Na 0.303 0.306 0.368
Na4 Na 0.578 0.572 0.838
Na5 Na 0.736 0.735 0.514
Cu1 Cu 0.075 0.579 0.827
Cu2 Cu 0.227 0.730 0.549
Cu3 Cu 0.365 0.867 0.262
Cu4 Cu 0.515 0.023 0.979
Cu5 Cu 0.648 0.150 0.684
Cu6 Cu 0.793 0.293 0.398
Cu7 Cu 0.934 0.440 0.113
O1 O 0.070 0.360 0.939
O2 O 0.074 0.799 0.716
O3 O 0.224 0.952 0.445
O4 O 0.231 0.511 0.663
O5 O 0.358 0.063 0.136
O6 O 0.373 0.655 0.380
O7 O 0.499 0.231 0.843
O8 O 0.643 0.366 0.565
O9 O 0.656 0.936 0.808
O10 O 0.794 0.509 0.285
O11 O 0.797 0.080 0.516
O12 O 0.927 0.653 0.994
O13 O 0.940 0.224 0.228
```

Calculated values
symmetry: No. 1
raw total energy: -4.79 eV/atom



[4]
This record from the Materials Project describes crystalline NaCu2O3 at its relaxed geometry. The functional is GGA-PBE.

CIF file:
```
data_NaCu2O3
_chemical_formula_sum 'Na2 Cu4 O6'
_cell_length_a 5.231
_cell_length_b 5.231
_cell_length_c 5.881
_cell_angle_alpha 107.11
_cell_angle_beta 107.11
_cell_angle_gamma 108.05
_space_group_name_H-M_alt 'P 1'
_space_group_IT_number 1
_space_group_name_Hall 'P 1'
loop_
_atom_site_label
_atom_site_type_symbol
_atom_site_fract_x
_atom_site_fract_y
_atom_site_fract_z
Na1 Na 0.165 0.835 0.000
Na2 Na 0.835 0.165 0.000
Cu1 Cu 0.000 0.000 0.500
Cu2 Cu 0.332 0.668 0.500
Cu3 Cu 0.500 0.500 0.000
Cu4 Cu 0.668 0.332 0.500
O1 O 0.019 0.338 0.732
O2 O 0.338 0.019 0.732
O3 O 0.366 0.366 0.244
O4 O 0.634 0.634 0.756
O5 O 0.662 0.981 0.268
O6 O 0.981 0.662 0.268
```

Calculated values
symmetry: No. 12
raw total energy: -4.90 eV/atom



[5]
This record from the Materials Project describes crystalline Na4CuO3 at its relaxed geometry. The functional is GGA-PBE.

CIF file:
```
data_Na4CuO3
_chemical_formula_sum 'Na8 Cu2 O6'
_cell_length_a 6.312
_cell_length_b 6.312
_cell_length_c 8.122
_cell_angle_alpha 111.47
_cell_angle_beta 111.47
_cell_angle_gamma 53.96
_space_group_name_H-M_alt 'P 1'
_space_group_IT_number 1
_space_group_name_Hall 'P 1'
loop_
_atom_site_label
_atom_site_type_symbol
_atom_site_fract_x
_atom_site_fract_y
_atom_site_fract_z
Na1 Na 0.154 0.846 0.500
Na2 Na 0.189 0.618 0.779
Na3 Na 0.443 0.753 0.185
Na4 Na 0.618 0.189 0.279
Na5 Na 0.648 0.992 0.590
Na6 Na 0.753 0.443 0.685
Na7 Na 0.846 0.154 0.000
Na8 Na 0.992 0.648 0.090
Cu1 Cu 0.085 0.376 0.377
Cu2 Cu 0.376 0.085 0.877
O1 O 0.060 0.074 0.295
O2 O 0.074 0.060 0.795
O3 O 0.389 0.408 0.520
O4 O 0.408 0.389 0.020
O5 O 0.732 0.830 0.835
O6 O 0.830 0.732 0.335
```

Calculated values
symmetry: No. 9
raw total energy: -4.15 eV/atom



[6]
This record from the Materials Project describes crystalline NaCuO2 at its relaxed geometry. The functional is GGA-PBE.

CIF file:
```
data_NaCuO2
_chemical_formula_sum 'Na2 Cu2 O4'
_cell_length_a 5.779
_cell_length_b 5.779
_cell_length_c 5.421
_cell_angle_alpha 90.00
_cell_angle_beta 90.00
_cell_angle_gamma 142.45
_space_group_name_H-M_alt 'P 1'
_space_group_IT_number 1
_space_group_name_Hall 'P 1'
loop_
_atom_site_label
_atom_site_type_symbol
_atom_site_fract_x
_atom_site_fract_y
_atom_site_fract_z
Na1 Na 0.210 0.790 0.750
Na2 Na 0.790 0.210 0.250
Cu1 Cu 0.497 0.503 0.750
Cu2 Cu 0.503 0.497 0.250
O1 O 0.386 0.614 0.006
O2 O 0.386 0.614 0.494
O3 O 0.614 0.386 0.506
O4 O 0.614 0.386 0.994
```

Calculated values
symmetry: No. 63
raw total energy: -4.84 eV/atom



[7]
This record from the Materials Project describes crystalline Na5CuO4 at its relaxed geometry. The functional is GGA-PBE.

CIF file:
```
data_Na5CuO4
_chemical_formula_sum 'Na40 Cu8 O32'
_cell_length_a 10.414
_cell_length_b 10.475
_cell_length_c 10.538
_cell_angle_alpha 90.00
_cell_angle_beta 90.00
_cell_angle_gamma 90.00
_space_group_name_H-M_alt 'P 1'
_space_group_IT_number 1
_space_group_name_Hall 'P 1'
loop_
_atom_site_label
_atom_site_type_symbol
_atom_site_fract_x
_atom_site_fract_y
_atom_site_fract_z
Na1 Na 0.107 0.163 0.113
Na2 Na 0.107 0.337 0.613
Na3 Na 0.113 0.645 0.895
Na4 Na 0.113 0.855 0.395
Na5 Na 0.119 0.091 0.851
Na6 Na 0.119 0.409 0.351
Na7 Na 0.121 0.604 0.164
Na8 Na 0.121 0.896 0.664
Na9 Na 0.158 0.135 0.385
Na10 Na 0.158 0.365 0.885
Na11 Na 0.342 0.635 0.385
Na12 Na 0.342 0.865 0.885
Na13 Na 0.379 0.104 0.164
Na14 Na 0.379 0.396 0.664
Na15 Na 0.381 0.591 0.851
Na16 Na 0.381 0.909 0.351
Na17 Na 0.387 0.145 0.895
Na18 Na 0.387 0.355 0.395
Na19 Na 0.393 0.663 0.113
Na20 Na 0.393 0.837 0.613
Na21 Na 0.607 0.163 0.387
Na22 Na 0.607 0.337 0.887
Na23 Na 0.613 0.645 0.605
Na24 Na 0.613 0.855 0.105
Na25 Na 0.619 0.091 0.649
Na26 Na 0.619 0.409 0.149
Na27 Na 0.621 0.604 0.336
Na28 Na 0.621 0.896 0.836
Na29 Na 0.658 0.135 0.115
Na30 Na 0.658 0.365 0.615
Na31 Na 0.842 0.635 0.115
Na32 Na 0.842 0.865 0.615
Na33 Na 0.879 0.104 0.336
Na34 Na 0.879 0.396 0.836
Na35 Na 0.881 0.591 0.649
Na36 Na 0.881 0.909 0.149
Na37 Na 0.887 0.145 0.605
Na38 Na 0.887 0.355 0.105
Na39 Na 0.893 0.663 0.387
Na40 Na 0.893 0.837 0.887
Cu1 Cu 0.149 0.616 0.622
Cu2 Cu 0.149 0.884 0.122
Cu3 Cu 0.351 0.116 0.622
Cu4 Cu 0.351 0.384 0.122
Cu5 Cu 0.649 0.616 0.878
Cu6 Cu 0.649 0.884 0.378
Cu7 Cu 0.851 0.116 0.878
Cu8 Cu 0.851 0.384 0.378
O1 O 0.022 0.734 0.554
O2 O 0.022 0.766 0.054
O3 O 0.053 0.502 0.743
O4 O 0.053 0.998 0.243
O5 O 0.239 0.003 0.020
O6 O 0.239 0.497 0.520
O7 O 0.243 0.726 0.737
O8 O 0.243 0.774 0.237
O9 O 0.257 0.226 0.737
O10 O 0.257 0.274 0.237
O11 O 0.261 0.503 0.020
O12 O 0.261 0.997 0.520
O13 O 0.447 0.002 0.743
O14 O 0.447 0.498 0.243
O15 O 0.478 0.234 0.554
O16 O 0.478 0.266 0.054
O17 O 0.522 0.734 0.946
O18 O 0.522 0.766 0.446
O19 O 0.553 0.502 0.757
O20 O 0.553 0.998 0.257
O21 O 0.739 0.003 0.480
O22 O 0.739 0.497 0.980
O23 O 0.743 0.726 0.763
O24 O 0.743 0.774 0.263
O25 O 0.757 0.226 0.763
O26 O 0.757 0.274 0.263
O27 O 0.761 0.503 0.480
O28 O 0.761 0.997 0.980
O29 O 0.947 0.002 0.757
O30 O 0.947 0.498 0.257
O31 O 0.978 0.234 0.946
O32 O 0.978 0.266 0.446
```

Calculated values
symmetry: No. 61
raw total energy: -4.13 eV/atom



[8]
This record from the Materials Project describes crystalline Na2CuO2 at its relaxed geometry. The functional is GGA-PBE.

CIF file:
```
data_Na2CuO2
_chemical_formula_sum 'Na2 Cu1 O2'
_cell_length_a 5.672
_cell_length_b 5.672
_cell_length_c 5.672
_cell_angle_alpha 149.31
_cell_angle_beta 132.96
_cell_angle_gamma 57.22
_space_group_name_H-M_alt 'P 1'
_space_group_IT_number 1
_space_group_name_Hall 'P 1'
loop_
_atom_site_label
_atom_site_type_symbol
_atom_site_fract_x
_atom_site_fract_y
_atom_site_fract_z
Na1 Na 0.188 0.188 0.000
Na2 Na 0.812 0.812 0.000
Cu1 Cu 0.500 0.500 0.000
O1 O 0.367 0.867 0.500
O2 O 0.633 0.133 0.500
```

Calculated values
symmetry: No. 71
raw total energy: -4.38 eV/atom



Q: Which ρ values were calculated for the entries above? A: 4.51; 4.67; 3.82; 4.97; 2.83; 3.57; 2.80; 3.47, in Mg/m³.